Arrangement A

Li2AlFeO4 (PBE+U, optimized geometry); volume = 11.03 Å³ per atom
1.0
11.1305 0.0000 0.0000
0.0000 6.2547 0.0000
0.0000 0.0000 5.0712
Li Al Fe O
8 4 4 16
Direct
0.0861 0.9997 0.1800
0.0861 0.5003 0.1800
0.4139 0.0003 0.6800
0.4139 0.4997 0.6800
0.5861 0.9997 0.3200
0.5861 0.5003 0.3200
0.9139 0.0003 0.8200
0.9139 0.4997 0.8200
0.1654 0.2500 0.6716
0.3346 0.7500 0.1716
0.6654 0.2500 0.8284
0.8346 0.7500 0.3284
0.1670 0.7500 0.6737
0.3330 0.2500 0.1737
0.6670 0.7500 0.8263
0.8330 0.2500 0.3263
0.0908 0.0116 0.7777
0.0908 0.4884 0.7777
0.1744 0.2500 0.3194
0.1839 0.7500 0.2981
0.3161 0.2500 0.7981
0.3256 0.7500 0.8194
0.4092 0.5116 0.2777
0.4092 0.9884 0.2777
0.5908 0.0116 0.7223
0.5908 0.4884 0.7223
0.6744 0.2500 0.1806
0.6839 0.7500 0.2019
0.8161 0.2500 0.7019
0.8256 0.7500 0.6806
0.9092 0.5116 0.2223
0.9092 0.9884 0.2223

Arrangement B

Li2AlFeO4 (PBE+U, optimized geometry); total magnetization = 20.0 Bohr magnetons per cell; volume = 11.26 Å³ per atom
1.0
6.4795 0.0000 0.0000
0.0000 5.1374 0.0000
-0.0087 0.0000 10.8270
Li Al Fe O
8 4 4 16
Direct
0.0003 0.1784 0.0831
0.0003 0.3216 0.5831
0.9997 0.6784 0.4169
0.9997 0.8216 0.9169
0.2446 0.6702 0.1643
0.2446 0.8298 0.6643
0.7554 0.1702 0.3357
0.7554 0.3298 0.8357
0.4994 0.1719 0.0903
0.4994 0.3281 0.5903
0.5006 0.6719 0.4097
0.5006 0.8281 0.9097
0.2386 0.1697 0.3335
0.2386 0.3303 0.8335
0.7614 0.6697 0.1665
0.7614 0.8303 0.6665
0.0062 0.2075 0.9031
0.0062 0.2925 0.4031
0.2747 0.7014 0.8440
0.2747 0.7986 0.3440
0.2759 0.2184 0.6646
0.2759 0.2816 0.1646
0.4868 0.1858 0.9219
0.4868 0.3142 0.4219
0.5132 0.6858 0.5781
0.5132 0.8142 0.0781
0.7241 0.7184 0.8354
0.7241 0.7816 0.3354
0.7253 0.2014 0.6560
0.7253 0.2986 0.1560
0.9938 0.7075 0.5969
0.9938 0.7925 0.0969

Relative stability in eV/atom, measured from the most stable structure: arrangement A 0.000; arrangement B 0.069